No. 1
Entry from Materials Project: a relaxed structure of MnNb4FeO12 (GGA+U).

Lattice parameters (Å, degrees): 5.1357 14.5573 5.8784 90.00 90.00 90.00
Fractional positions:
Mn (0.0000, 0.0000, 0.0779)
Mn (0.5000, 0.5000, 0.9221)
Nb (0.0052, 0.1620, 0.5697)
Nb (0.0066, 0.3378, 0.0693)
Nb (0.4934, 0.8378, 0.9307)
Nb (0.4948, 0.6620, 0.4303)
Nb (0.5052, 0.3380, 0.4303)
Nb (0.5066, 0.1622, 0.9307)
Nb (0.9934, 0.6622, 0.0693)
Nb (0.9948, 0.8380, 0.5697)
Fe (0.0000, 0.5000, 0.5790)
Fe (0.5000, 0.0000, 0.4210)
O (0.1524, 0.4198, 0.8675)
O (0.1562, 0.0812, 0.3704)
O (0.1655, 0.7454, 0.3768)
O (0.1652, 0.7554, 0.8767)
O (0.1834, 0.4024, 0.3519)
O (0.1853, 0.0993, 0.8528)
O (0.3147, 0.5993, 0.1472)
O (0.3166, 0.9024, 0.6481)
O (0.3345, 0.2454, 0.6232)
O (0.3348, 0.2554, 0.1233)
O (0.3438, 0.5812, 0.6296)
O (0.3476, 0.9198, 0.1325)
O (0.6524, 0.0802, 0.1325)
O (0.6562, 0.4188, 0.6296)
O (0.6652, 0.7446, 0.1233)
O (0.6655, 0.7546, 0.6232)
O (0.6834, 0.0976, 0.6481)
O (0.6853, 0.4007, 0.1472)
O (0.8147, 0.9007, 0.8528)
O (0.8166, 0.5976, 0.3519)
O (0.8348, 0.2446, 0.8767)
O (0.8345, 0.2546, 0.3768)
O (0.8438, 0.9188, 0.3704)
O (0.8476, 0.5802, 0.8675)

Results
Symmetry ... P2_12_12 (18)
V ... 219.74 Å³/f.u.

***

No. 2
Entry from Materials Project: a relaxed structure of Na3Mn3O8 (GGA+U).

Lattice parameters (Å, degrees): 8.7691 8.7691 8.7691 90.00 90.00 90.00
Fractional positions:
Na (0.0134, 0.0134, 0.0134)
Na (0.1250, 0.8750, 0.3750)
Na (0.2366, 0.2366, 0.2366)
Na (0.2634, 0.7634, 0.7366)
Na (0.3750, 0.1250, 0.8750)
Na (0.4866, 0.9866, 0.5134)
Na (0.5134, 0.4866, 0.9866)
Na (0.6250, 0.6250, 0.6250)
Na (0.7366, 0.2634, 0.7634)
Na (0.7634, 0.7366, 0.2634)
Na (0.8750, 0.3750, 0.1250)
Na (0.9866, 0.5134, 0.4866)
Mn (0.1041, 0.1459, 0.6250)
Mn (0.1250, 0.3959, 0.8541)
Mn (0.1459, 0.6250, 0.1041)
Mn (0.3541, 0.3750, 0.6041)
Mn (0.3750, 0.6041, 0.3541)
Mn (0.3959, 0.8541, 0.1250)
Mn (0.6041, 0.3541, 0.3750)
Mn (0.6250, 0.1041, 0.1459)
Mn (0.6459, 0.8750, 0.8959)
Mn (0.8541, 0.1250, 0.3959)
Mn (0.8750, 0.8959, 0.6459)
Mn (0.8959, 0.6459, 0.8750)
O (0.0693, 0.1417, 0.4068)
O (0.0932, 0.9307, 0.6417)
O (0.1083, 0.1807, 0.8432)
O (0.1203, 0.6203, 0.8797)
O (0.1297, 0.3703, 0.6297)
O (0.1417, 0.4068, 0.0693)
O (0.1568, 0.6083, 0.3193)
O (0.1807, 0.8432, 0.1083)
O (0.3193, 0.1568, 0.6083)
O (0.3432, 0.3917, 0.8193)
O (0.3583, 0.5932, 0.5693)
O (0.3703, 0.6297, 0.1297)
O (0.3797, 0.3797, 0.3797)
O (0.3917, 0.8193, 0.3432)
O (0.4068, 0.0693, 0.1417)
O (0.4307, 0.8583, 0.9068)
O (0.5693, 0.3583, 0.5932)
O (0.5932, 0.5693, 0.3583)
O (0.6083, 0.3193, 0.1568)
O (0.6203, 0.8797, 0.1203)
O (0.6297, 0.1297, 0.3703)
O (0.6417, 0.0932, 0.9307)
O (0.6568, 0.8917, 0.6807)
O (0.6807, 0.6568, 0.8917)
O (0.8193, 0.3432, 0.3917)
O (0.8432, 0.1083, 0.1807)
O (0.8583, 0.9068, 0.4307)
O (0.8703, 0.8703, 0.8703)
O (0.8797, 0.1203, 0.6203)
O (0.8917, 0.6807, 0.6568)
O (0.9068, 0.4307, 0.8583)
O (0.9307, 0.6417, 0.0932)

Results
Symmetry ... P4_332 (212)
V ... 168.58 Å³/f.u.

***

no.,calculated total energy (Ry/atom)
1,-0.6359
2,-0.4534